Er2MgTl2W4O16: optimized geometry, PBE+U.

Properties
VASP energy ... -7.16 eV/atom
Symmetry ... P1
Calculated density ... 8.5 g cm⁻³
Corrected total energy (MP2020 scheme) ... -207.69 eV/cell
Formation enthalpy at 0 K ... -2.4492 eV/atom
Energy above the lowest structure with this stoichiometry ... 0.027 eV per atom

```
data_Er2MgTl2W4O16
_space_group_name_H-M_alt 'P 1'
_space_group_IT_number 1
_space_group_name_Hall 'P 1'
_cell_length_a 7.517
_cell_length_b 7.518
_cell_length_c 7.913
_cell_angle_alpha 62.58
_cell_angle_beta 88.85
_cell_angle_gamma 63.54
loop_
_atom_site_label
_atom_site_type_symbol
_atom_site_fract_x
_atom_site_fract_y
_atom_site_fract_z
Er1 Er 0.000 0.000 0.000
Er2 Er 0.490 0.479 0.587
Mg1 Mg 0.915 0.488 0.140
Tl1 Tl 0.139 0.473 0.877
Tl2 Tl 0.449 0.995 0.590
W1 W 0.528 0.437 0.115
W2 W 0.552 0.938 0.093
W3 W 0.923 0.542 0.496
W4 W 0.950 0.035 0.480
O1 O 0.000 0.950 0.740
O2 O 0.017 0.289 0.422
O3 O 0.201 0.853 0.459
O4 O 0.212 0.436 0.587
O5 O 0.264 0.048 0.019
O6 O 0.283 0.625 0.138
O7 O 0.467 0.530 0.849
O8 O 0.490 0.179 0.177
O9 O 0.604 0.708 0.376
O10 O 0.619 0.672 0.040
O11 O 0.621 0.111 0.869
O12 O 0.645 0.288 0.412
O13 O 0.851 0.372 0.718
O14 O 0.852 0.221 0.165
O15 O 0.856 0.824 0.518
O16 O 0.891 0.745 0.200
```

Na7W20O60: optimized geometry, PBE+U.

Properties
VASP energy ... -7.18 eV/atom
Symmetry ... P4mm
Calculated density ... 6.7 g cm⁻³
Corrected total energy (MP2020 scheme) ... -754.30 eV/cell
Formation enthalpy at 0 K ... -2.1724 eV/atom

```
data_Na7W20O60
_space_group_name_H-M_alt 'P 1'
_space_group_IT_number 1
_space_group_name_Hall 'P 1'
_cell_length_a 3.892
_cell_length_b 3.892
_cell_length_c 78.264
_cell_angle_alpha 90.00
_cell_angle_beta 90.00
_cell_angle_gamma 90.00
loop_
_atom_site_label
_atom_site_type_symbol
_atom_site_fract_x
_atom_site_fract_y
_atom_site_fract_z
Na1 Na 0.000 0.000 0.000
Na2 Na 0.000 0.000 0.051
Na3 Na 0.000 0.000 0.102
Na4 Na 0.000 0.000 0.201
Na5 Na 0.000 0.000 0.751
Na6 Na 0.000 0.000 0.850
Na7 Na 0.000 0.000 0.902
W1 W 0.500 0.500 0.026
W2 W 0.500 0.500 0.076
W3 W 0.500 0.500 0.127
W4 W 0.500 0.500 0.176
W5 W 0.500 0.500 0.227
W6 W 0.500 0.500 0.277
W7 W 0.500 0.500 0.327
W8 W 0.500 0.500 0.377
W9 W 0.500 0.500 0.426
W10 W 0.500 0.500 0.476
W11 W 0.500 0.500 0.525
W12 W 0.500 0.500 0.575
W13 W 0.500 0.500 0.625
W14 W 0.500 0.500 0.675
W15 W 0.500 0.500 0.725
W16 W 0.500 0.500 0.776
W17 W 0.500 0.500 0.825
W18 W 0.500 0.500 0.876
W19 W 0.500 0.500 0.927
W20 W 0.500 0.500 0.975
O1 O 0.000 0.500 0.026
O2 O 0.000 0.500 0.076
O3 O 0.000 0.500 0.126
O4 O 0.000 0.500 0.177
O5 O 0.000 0.500 0.225
O6 O 0.000 0.500 0.276
O7 O 0.000 0.500 0.326
O8 O 0.000 0.500 0.376
O9 O 0.000 0.500 0.426
O10 O 0.000 0.500 0.476
O11 O 0.000 0.500 0.526
O12 O 0.000 0.500 0.576
O13 O 0.000 0.500 0.626
O14 O 0.000 0.500 0.676
O15 O 0.000 0.500 0.727
O16 O 0.000 0.500 0.775
O17 O 0.000 0.500 0.826
O18 O 0.000 0.500 0.876
O19 O 0.000 0.500 0.925
O20 O 0.000 0.500 0.977
O21 O 0.500 0.000 0.026
O22 O 0.500 0.000 0.076
O23 O 0.500 0.000 0.126
O24 O 0.500 0.000 0.177
O25 O 0.500 0.000 0.225
O26 O 0.500 0.000 0.276
O27 O 0.500 0.000 0.326
O28 O 0.500 0.000 0.376
O29 O 0.500 0.000 0.426
O30 O 0.500 0.000 0.476
O31 O 0.500 0.000 0.526
O32 O 0.500 0.000 0.576
O33 O 0.500 0.000 0.626
O34 O 0.500 0.000 0.676
O35 O 0.500 0.000 0.727
O36 O 0.500 0.000 0.775
O37 O 0.500 0.000 0.826
O38 O 0.500 0.000 0.876
O39 O 0.500 0.000 0.925
O40 O 0.500 0.000 0.977
O41 O 0.500 0.500 0.001
O42 O 0.500 0.500 0.050
O43 O 0.500 0.500 0.101
O44 O 0.500 0.500 0.151
O45 O 0.500 0.500 0.201
O46 O 0.500 0.500 0.251
O47 O 0.500 0.500 0.301
O48 O 0.500 0.500 0.351
O49 O 0.500 0.500 0.401
O50 O 0.500 0.500 0.451
O51 O 0.500 0.500 0.501
O52 O 0.500 0.500 0.551
O53 O 0.500 0.500 0.601
O54 O 0.500 0.500 0.651
O55 O 0.500 0.500 0.701
O56 O 0.500 0.500 0.751
O57 O 0.500 0.500 0.800
O58 O 0.500 0.500 0.851
O59 O 0.500 0.500 0.901
O60 O 0.500 0.500 0.951
```

CrO: optimized geometry, PBE+U.

Properties
VASP energy ... -7.92 eV/atom
Calculated density ... 4.5 g cm⁻³
Corrected total energy (MP2020 scheme) ... -74.14 eV/cell
Formation enthalpy at 0 K ... -1.9671 eV/atom

```
data_CrO
_space_group_name_H-M_alt 'P 1'
_space_group_IT_number 1
_space_group_name_Hall 'P 1'
_cell_length_a 4.246
_cell_length_b 5.441
_cell_length_c 4.344
_cell_angle_alpha 90.00
_cell_angle_beta 90.00
_cell_angle_gamma 90.38
loop_
_atom_site_label
_atom_site_type_symbol
_atom_site_fract_x
_atom_site_fract_y
_atom_site_fract_z
Cr1 Cr 0.400 0.900 0.500
Cr2 Cr 0.400 0.400 0.000
Cr3 Cr 0.900 0.900 0.000
Cr4 Cr 0.900 0.400 0.500
O1 O 0.650 0.150 0.248
O2 O 0.150 0.150 0.748
O3 O 0.650 0.650 0.252
O4 O 0.150 0.650 0.752
```

NaCaAlFeSi4O12: optimized geometry, PBE+U.

Properties
VASP energy ... -7.39 eV/atom
Symmetry ... P2
Calculated density ... 3.4 g cm⁻³
Corrected total energy (MP2020 scheme) ... -632.83 eV/cell
Formation enthalpy at 0 K ... -3.0794 eV/atom
Energy above the lowest structure with this stoichiometry ... 0.000 eV per atom

```
data_NaCaAlFeSi4O12
_space_group_name_H-M_alt 'P 1'
_space_group_IT_number 1
_space_group_name_Hall 'P 1'
_cell_length_a 5.348
_cell_length_b 8.892
_cell_length_c 18.655
_cell_angle_alpha 90.00
_cell_angle_beta 91.89
_cell_angle_gamma 90.00
loop_
_atom_site_label
_atom_site_type_symbol
_atom_site_fract_x
_atom_site_fract_y
_atom_site_fract_z
Na1 Na 0.000 0.000 0.000
Na2 Na 0.247 0.091 0.248
Na3 Na 0.500 0.591 0.000
Na4 Na 0.753 0.091 0.752
Ca1 Ca 0.000 0.591 0.500
Ca2 Ca 0.259 0.501 0.752
Ca3 Ca 0.500 0.996 0.500
Ca4 Ca 0.741 0.501 0.248
Al1 Al 0.000 0.395 0.000
Al2 Al 0.251 0.897 0.754
Al3 Al 0.500 0.197 0.000
Al4 Al 0.749 0.897 0.246
Fe1 Fe 0.000 0.204 0.500
Fe2 Fe 0.247 0.706 0.245
Fe3 Fe 0.500 0.388 0.500
Fe4 Fe 0.753 0.706 0.755
Si1 Si 0.087 0.891 0.390
Si2 Si 0.093 0.707 0.898
Si3 Si 0.158 0.384 0.353
Si4 Si 0.162 0.200 0.858
Si5 Si 0.336 0.381 0.141
Si6 Si 0.345 0.197 0.648
Si7 Si 0.403 0.709 0.610
Si8 Si 0.417 0.892 0.102
Si9 Si 0.583 0.892 0.898
Si10 Si 0.597 0.709 0.390
Si11 Si 0.655 0.197 0.352
Si12 Si 0.664 0.381 0.859
Si13 Si 0.838 0.200 0.142
Si14 Si 0.842 0.384 0.647
Si15 Si 0.907 0.707 0.102
Si16 Si 0.913 0.891 0.610
O1 O 0.055 0.882 0.302
O2 O 0.082 0.302 0.173
O3 O 0.095 0.288 0.678
O4 O 0.106 0.540 0.933
O5 O 0.108 0.719 0.810
O6 O 0.118 0.547 0.315
O7 O 0.127 0.037 0.821
O8 O 0.147 0.049 0.427
O9 O 0.159 0.798 0.077
O10 O 0.164 0.812 0.573
O11 O 0.166 0.387 0.440
O12 O 0.177 0.222 0.946
O13 O 0.320 0.364 0.052
O14 O 0.334 0.785 0.420
O15 O 0.340 0.198 0.561
O16 O 0.341 0.801 0.931
O17 O 0.359 0.547 0.575
O18 O 0.373 0.036 0.688
O19 O 0.385 0.545 0.174
O20 O 0.391 0.057 0.066
O21 O 0.394 0.725 0.697
O22 O 0.412 0.302 0.321
O23 O 0.413 0.285 0.827
O24 O 0.442 0.884 0.191
O25 O 0.558 0.884 0.809
O26 O 0.587 0.285 0.173
O27 O 0.588 0.302 0.679
O28 O 0.606 0.725 0.303
O29 O 0.609 0.057 0.934
O30 O 0.615 0.545 0.826
O31 O 0.627 0.036 0.312
O32 O 0.641 0.547 0.425
O33 O 0.659 0.801 0.069
O34 O 0.660 0.198 0.439
O35 O 0.666 0.785 0.580
O36 O 0.680 0.364 0.948
O37 O 0.823 0.222 0.054
O38 O 0.834 0.387 0.560
O39 O 0.836 0.812 0.427
O40 O 0.841 0.798 0.923
O41 O 0.853 0.049 0.573
O42 O 0.873 0.037 0.179
O43 O 0.882 0.547 0.685
O44 O 0.892 0.719 0.190
O45 O 0.894 0.540 0.067
O46 O 0.905 0.288 0.322
O47 O 0.918 0.302 0.827
O48 O 0.945 0.882 0.698
```

Li3Co3P4O16: optimized geometry, PBE+U.

Properties
VASP energy ... -6.56 eV/atom
Symmetry ... P1
Calculated density ... 3.1 g cm⁻³
Corrected total energy (MP2020 scheme) ... -186.58 eV/cell
Formation enthalpy at 0 K ... -2.2582 eV/atom
Energy above the lowest structure with this stoichiometry ... 0.003 eV per atom

```
data_Li3Co3P4O16
_space_group_name_H-M_alt 'P 1'
_space_group_IT_number 1
_space_group_name_Hall 'P 1'
_cell_length_a 5.081
_cell_length_b 7.684
_cell_length_c 8.017
_cell_angle_alpha 87.90
_cell_angle_beta 89.10
_cell_angle_gamma 85.69
loop_
_atom_site_label
_atom_site_type_symbol
_atom_site_fract_x
_atom_site_fract_y
_atom_site_fract_z
Li1 Li 0.000 0.000 0.000
Li2 Li 0.177 0.807 0.723
Li3 Li 0.690 0.300 0.498
Co1 Co 0.087 0.927 0.373
Co2 Co 0.493 0.504 0.217
Co3 Co 0.572 0.393 0.838
P1 P 0.053 0.601 0.052
P2 P 0.120 0.203 0.668
P3 P 0.552 0.105 0.166
P4 P 0.623 0.708 0.548
O1 O 0.027 0.757 0.935
O2 O 0.042 0.152 0.488
O3 O 0.143 0.048 0.788
O4 O 0.158 0.643 0.230
O5 O 0.272 0.456 0.002
O6 O 0.285 0.018 0.176
O7 O 0.390 0.291 0.661
O8 O 0.405 0.852 0.502
O9 O 0.529 0.262 0.286
O10 O 0.548 0.636 0.726
O11 O 0.626 0.168 0.987
O12 O 0.636 0.554 0.426
O13 O 0.776 0.970 0.225
O14 O 0.782 0.516 0.068
O15 O 0.896 0.787 0.543
O16 O 0.904 0.347 0.715
```

Sr2CoO4: optimized geometry, PBE+U.

Properties
VASP energy ... -6.04 eV/atom
Symmetry ... C2/m
Calculated density ... 5.2 g cm⁻³
Corrected total energy (MP2020 scheme) ... -93.39 eV/cell
Formation enthalpy at 0 K ... -2.3452 eV/atom
Energy above the lowest structure with this stoichiometry ... 0.007 eV per atom

```
data_Sr2CoO4
_space_group_name_H-M_alt 'P 1'
_space_group_IT_number 1
_space_group_name_Hall 'P 1'
_cell_length_a 6.785
_cell_length_b 6.785
_cell_length_c 7.775
_cell_angle_alpha 106.66
_cell_angle_beta 106.66
_cell_angle_gamma 33.64
loop_
_atom_site_label
_atom_site_type_symbol
_atom_site_fract_x
_atom_site_fract_y
_atom_site_fract_z
Sr1 Sr 0.141 0.141 0.316
Sr2 Sr 0.141 0.141 0.825
Sr3 Sr 0.859 0.859 0.175
Sr4 Sr 0.859 0.859 0.684
Co1 Co 0.500 0.500 0.000
Co2 Co 0.500 0.500 0.500
O1 O 0.000 0.000 0.000
O2 O 0.000 0.000 0.500
O3 O 0.340 0.340 0.919
O4 O 0.347 0.347 0.425
O5 O 0.500 0.500 0.234
O6 O 0.500 0.500 0.766
O7 O 0.653 0.653 0.575
O8 O 0.660 0.660 0.081
```

Li7FeNi3P6O24: optimized geometry, PBE+U.

Properties
VASP energy ... -6.34 eV/atom
Symmetry ... R3
Calculated density ... 2.9 g cm⁻³
Corrected total energy (MP2020 scheme) ... -286.36 eV/cell
Formation enthalpy at 0 K ... -2.3404 eV/atom

```
data_Li7FeNi3P6O24
_space_group_name_H-M_alt 'P 1'
_space_group_IT_number 1
_space_group_name_Hall 'P 1'
_cell_length_a 8.812
_cell_length_b 8.812
_cell_length_c 8.812
_cell_angle_alpha 59.74
_cell_angle_beta 59.74
_cell_angle_gamma 59.74
loop_
_atom_site_label
_atom_site_type_symbol
_atom_site_fract_x
_atom_site_fract_y
_atom_site_fract_z
Li1 Li 0.000 0.000 0.000
Li2 Li 0.182 0.373 0.816
Li3 Li 0.300 0.802 0.633
Li4 Li 0.373 0.816 0.182
Li5 Li 0.633 0.300 0.802
Li6 Li 0.802 0.633 0.300
Li7 Li 0.816 0.182 0.373
Fe1 Fe 0.380 0.380 0.380
Ni1 Ni 0.173 0.173 0.173
Ni2 Ni 0.671 0.671 0.671
Ni3 Ni 0.876 0.876 0.876
P1 P 0.066 0.778 0.480
P2 P 0.280 0.564 0.982
P3 P 0.480 0.066 0.778
P4 P 0.564 0.982 0.280
P5 P 0.778 0.480 0.066
P6 P 0.982 0.280 0.564
O1 O 0.059 0.965 0.311
O2 O 0.061 0.789 0.651
O3 O 0.119 0.752 0.951
O4 O 0.147 0.323 0.526
O5 O 0.244 0.400 0.997
O6 O 0.260 0.633 0.416
O7 O 0.311 0.059 0.965
O8 O 0.323 0.526 0.147
O9 O 0.400 0.997 0.244
O10 O 0.416 0.260 0.633
O11 O 0.453 0.573 0.799
O12 O 0.510 0.899 0.740
O13 O 0.526 0.147 0.323
O14 O 0.573 0.799 0.453
O15 O 0.633 0.416 0.260
O16 O 0.651 0.061 0.789
O17 O 0.740 0.510 0.899
O18 O 0.752 0.951 0.119
O19 O 0.789 0.651 0.061
O20 O 0.799 0.453 0.573
O21 O 0.899 0.740 0.510
O22 O 0.951 0.119 0.752
O23 O 0.965 0.311 0.059
O24 O 0.997 0.244 0.400
```

FeOF: optimized geometry, PBE+U.

Properties
VASP energy ... -5.96 eV/atom
Symmetry ... Pm
Calculated density ... 4.4 g cm⁻³
Corrected total energy (MP2020 scheme) ... -127.76 eV/cell
Formation enthalpy at 0 K ... -1.9869 eV/atom

```
data_FeOF
_space_group_name_H-M_alt 'P 1'
_space_group_IT_number 1
_space_group_name_Hall 'P 1'
_cell_length_a 4.765
_cell_length_b 3.068
_cell_length_c 14.175
_cell_angle_alpha 90.00
_cell_angle_beta 90.57
_cell_angle_gamma 90.00
loop_
_atom_site_label
_atom_site_type_symbol
_atom_site_fract_x
_atom_site_fract_y
_atom_site_fract_z
Fe1 Fe 0.000 0.000 0.000
Fe2 Fe 0.000 0.000 0.290
Fe3 Fe 0.054 0.000 0.646
Fe4 Fe 0.487 0.500 0.483
Fe5 Fe 0.493 0.500 0.811
Fe6 Fe 0.498 0.500 0.145
O1 O 0.198 0.500 0.042
O2 O 0.202 0.500 0.711
O3 O 0.308 0.000 0.539
O4 O 0.311 0.000 0.209
O5 O 0.685 0.000 0.080
O6 O 0.797 0.500 0.251
F1 F 0.201 0.500 0.380
F2 F 0.298 0.000 0.879
F3 F 0.690 0.000 0.421
F4 F 0.707 0.000 0.743
F5 F 0.802 0.500 0.579
F6 F 0.804 0.500 0.908
```

Ce2VFeO6: optimized geometry, PBE+U.

Properties
VASP energy ... -8.17 eV/atom
Symmetry ... P2_1/c
Calculated density ... 6.4 g cm⁻³
Corrected total energy (MP2020 scheme) ... -179.52 eV/cell
Formation enthalpy at 0 K ... -3.0651 eV/atom

```
data_Ce2VFeO6
_space_group_name_H-M_alt 'P 1'
_space_group_IT_number 1
_space_group_name_Hall 'P 1'
_cell_length_a 5.459
_cell_length_b 5.824
_cell_length_c 9.454
_cell_angle_alpha 90.00
_cell_angle_beta 124.11
_cell_angle_gamma 90.00
loop_
_atom_site_label
_atom_site_type_symbol
_atom_site_fract_x
_atom_site_fract_y
_atom_site_fract_z
Ce1 Ce 0.228 0.076 0.248
Ce2 Ce 0.228 0.424 0.748
Ce3 Ce 0.772 0.576 0.252
Ce4 Ce 0.772 0.924 0.752
V1 V 0.500 0.000 0.000
V2 V 0.500 0.500 0.500
Fe1 Fe 0.000 0.000 0.500
Fe2 Fe 0.000 0.500 0.000
O1 O 0.140 0.179 0.941
O2 O 0.140 0.321 0.441
O3 O 0.258 0.698 0.936
O4 O 0.258 0.802 0.436
O5 O 0.376 0.044 0.752
O6 O 0.376 0.456 0.252
O7 O 0.624 0.544 0.748
O8 O 0.624 0.956 0.248
O9 O 0.742 0.198 0.564
O10 O 0.742 0.302 0.064
O11 O 0.860 0.679 0.559
O12 O 0.860 0.821 0.059
```

Cs3Mn3V4O16: optimized geometry, PBE+U.

Properties
VASP energy ... -7.04 eV/atom
Symmetry ... P-1
Calculated density ... 3.7 g cm⁻³
Corrected total energy (MP2020 scheme) ... -205.88 eV/cell
Formation enthalpy at 0 K ... -2.3154 eV/atom

```
data_Cs3Mn3V4O16
_space_group_name_H-M_alt 'P 1'
_space_group_IT_number 1
_space_group_name_Hall 'P 1'
_cell_length_a 5.284
_cell_length_b 7.625
_cell_length_c 11.640
_cell_angle_alpha 77.79
_cell_angle_beta 89.77
_cell_angle_gamma 82.55
loop_
_atom_site_label
_atom_site_type_symbol
_atom_site_fract_x
_atom_site_fract_y
_atom_site_fract_z
Cs1 Cs 0.000 0.000 0.000
Cs2 Cs 0.114 0.260 0.485
Cs3 Cs 0.886 0.740 0.515
Mn1 Mn 0.008 0.440 0.132
Mn2 Mn 0.500 0.500 0.000
Mn3 Mn 0.992 0.560 0.868
V1 V 0.473 0.866 0.767
V2 V 0.474 0.327 0.762
V3 V 0.526 0.673 0.238
V4 V 0.527 0.134 0.233
O1 O 0.169 0.452 0.744
O2 O 0.195 0.387 0.992
O3 O 0.210 0.235 0.235
O4 O 0.306 0.727 0.871
O5 O 0.340 0.604 0.132
O6 O 0.346 0.895 0.632
O7 O 0.386 0.640 0.367
O8 O 0.454 0.085 0.812
O9 O 0.546 0.915 0.188
O10 O 0.614 0.360 0.633
O11 O 0.654 0.105 0.368
O12 O 0.660 0.396 0.868
O13 O 0.694 0.273 0.129
O14 O 0.790 0.765 0.765
O15 O 0.805 0.613 0.008
O16 O 0.831 0.548 0.256
```

CaFeO2: optimized geometry, PBE+U.

Properties
VASP energy ... -6.35 eV/atom
Symmetry ... P-1
Calculated density ... 3.4 g cm⁻³
Corrected total energy (MP2020 scheme) ... -116.13 eV/cell
Formation enthalpy at 0 K ... -2.1654 eV/atom

```
data_CaFeO2
_space_group_name_H-M_alt 'P 1'
_space_group_IT_number 1
_space_group_name_Hall 'P 1'
_cell_length_a 3.135
_cell_length_b 8.883
_cell_length_c 9.267
_cell_angle_alpha 90.80
_cell_angle_beta 98.65
_cell_angle_gamma 99.26
loop_
_atom_site_label
_atom_site_type_symbol
_atom_site_fract_x
_atom_site_fract_y
_atom_site_fract_z
Ca1 Ca 0.095 0.234 0.431
Ca2 Ca 0.276 0.877 0.189
Ca3 Ca 0.724 0.123 0.811
Ca4 Ca 0.905 0.766 0.569
Fe1 Fe 0.090 0.791 0.875
Fe2 Fe 0.329 0.450 0.704
Fe3 Fe 0.671 0.550 0.296
Fe4 Fe 0.910 0.209 0.125
O1 O 0.088 0.412 0.257
O2 O 0.287 0.705 0.375
O3 O 0.324 0.182 0.977
O4 O 0.473 0.115 0.283
O5 O 0.527 0.885 0.717
O6 O 0.676 0.818 0.023
O7 O 0.713 0.295 0.625
O8 O 0.912 0.588 0.743
```